# 1
! CoP2PbO7 | the Materials Project | PBE+U | optimized geometry; values from VASP
! - DFT formation energy (eV per atom) = -2.3529
&SYSTEM
  ibrav = 0, nat = 44, ntyp = 4
/
ATOMIC_SPECIES
Co 58.93 Co.upf
P 30.97 P.upf
Pb 207.20 Pb.upf
O 16.00 O.upf
ATOMIC_POSITIONS crystal
Co 0.649 0.925 0.895
Co 0.149 0.075 0.605
Co 0.351 0.075 0.105
Co 0.851 0.925 0.395
P 0.699 0.297 0.019
P 0.199 0.703 0.481
P 0.301 0.703 0.981
P 0.801 0.297 0.519
P 0.964 0.085 0.166
P 0.464 0.915 0.334
P 0.036 0.915 0.834
P 0.536 0.085 0.666
Pb 0.829 0.568 0.722
Pb 0.329 0.432 0.778
Pb 0.171 0.432 0.278
Pb 0.671 0.568 0.222
O 0.668 0.574 0.022
O 0.168 0.426 0.478
O 0.332 0.426 0.978
O 0.832 0.574 0.522
O 0.689 0.284 0.912
O 0.189 0.716 0.588
O 0.311 0.716 0.088
O 0.811 0.284 0.412
O 0.597 0.078 0.099
O 0.097 0.922 0.401
O 0.403 0.922 0.901
O 0.903 0.078 0.599
O 0.884 0.223 0.053
O 0.384 0.777 0.447
O 0.116 0.777 0.947
O 0.616 0.223 0.553
O 0.139 0.168 0.152
O 0.639 0.832 0.348
O 0.861 0.832 0.848
O 0.361 0.168 0.652
O 0.882 0.202 0.238
O 0.382 0.798 0.262
O 0.118 0.798 0.762
O 0.618 0.202 0.738
O 0.939 0.783 0.201
O 0.439 0.217 0.299
O 0.061 0.217 0.799
O 0.561 0.783 0.701
CELL_PARAMETERS angstrom
-3.436 -3.144 -6.986
4.930 -0.594 -2.157
5.638 -12.568 2.883


# 2
! CoP3H16N4O11 | the Materials Project | PBE+U | optimized geometry; values from VASP
! - energy above the most stable polymorph in this dataset (meV/atom) = 275.6
! - DFT formation energy (eV per atom) = -1.0471
&SYSTEM
  ibrav = 0, nat = 70, ntyp = 5
/
ATOMIC_SPECIES
Co 58.93 Co.upf
P 30.97 P.upf
H 1.01 H.upf
N 14.01 N.upf
O 16.00 O.upf
ATOMIC_POSITIONS crystal
Co 0.009 0.796 0.627
Co 0.509 0.204 0.373
P 0.995 0.340 0.223
P 0.495 0.660 0.777
P 0.952 0.169 0.548
P 0.452 0.831 0.452
P 0.161 0.071 0.759
P 0.661 0.929 0.241
H 0.035 0.821 0.111
H 0.535 0.179 0.889
H 0.914 0.604 0.862
H 0.414 0.396 0.138
H 0.797 0.849 0.893
H 0.297 0.151 0.107
H 0.039 0.457 0.420
H 0.539 0.543 0.580
H 0.159 0.602 0.780
H 0.659 0.398 0.220
H 0.045 0.468 0.752
H 0.545 0.532 0.248
H 0.861 0.558 0.552
H 0.361 0.442 0.448
H 0.838 0.736 0.436
H 0.338 0.264 0.564
H 0.778 0.694 0.613
H 0.278 0.306 0.387
H 0.991 0.827 0.176
H 0.491 0.173 0.824
H 0.134 0.720 0.390
H 0.634 0.280 0.610
H 0.140 0.911 0.403
H 0.640 0.089 0.597
H 0.269 0.771 0.072
H 0.769 0.229 0.928
H 0.196 0.614 0.120
H 0.696 0.386 0.880
H 0.829 0.382 0.082
H 0.329 0.618 0.918
H 0.089 0.164 0.970
H 0.589 0.836 0.030
N 0.994 0.665 0.844
N 0.494 0.335 0.156
N 0.069 0.580 0.770
N 0.569 0.420 0.230
N 0.854 0.679 0.552
N 0.354 0.321 0.448
N 0.093 0.808 0.438
N 0.593 0.192 0.562
O 0.067 0.314 0.083
O 0.567 0.686 0.917
O 0.866 0.411 0.182
O 0.366 0.589 0.818
O 0.063 0.467 0.309
O 0.563 0.533 0.691
O 0.982 0.183 0.356
O 0.482 0.817 0.644
O 0.907 0.999 0.602
O 0.407 0.001 0.398
O 0.879 0.310 0.570
O 0.379 0.690 0.430
O 0.085 0.190 0.614
O 0.585 0.810 0.386
O 0.081 0.073 0.913
O 0.581 0.927 0.087
O 0.280 0.148 0.761
O 0.780 0.852 0.239
O 0.151 0.903 0.724
O 0.651 0.097 0.276
O 0.272 0.656 0.075
O 0.772 0.344 0.925
CELL_PARAMETERS angstrom
-1.298 -6.435 9.032
-4.060 -5.797 -4.713
6.587 -4.871 -2.523


# 3
! YNiO3 | the Materials Project | PBE+U | optimized geometry; values from VASP
! - DFT formation energy (eV per atom) = -2.2643
&SYSTEM
  ibrav = 0, nat = 5, ntyp = 3
/
ATOMIC_SPECIES
Y 88.91 Y.upf
Ni 58.69 Ni.upf
O 16.00 O.upf
ATOMIC_POSITIONS crystal
Y 0.000 0.000 0.000
Ni 0.500 0.500 0.500
O 0.500 0.500 0.000
O 0.500 0.000 0.500
O 0.000 0.500 0.500
CELL_PARAMETERS angstrom
3.757 0.000 0.000
0.000 3.757 0.000
0.000 0.000 3.757


# 4
! Li4Cr3Fe2Sn3O16 | the Materials Project | PBE+U | optimized geometry; values from VASP
! - DFT formation energy (eV per atom) = -2.1066
&SYSTEM
  ibrav = 0, nat = 28, ntyp = 5
/
ATOMIC_SPECIES
Li 6.94 Li.upf
Cr 52.00 Cr.upf
Fe 55.84 Fe.upf
Sn 118.71 Sn.upf
O 16.00 O.upf
ATOMIC_POSITIONS crystal
Li 0.668 0.325 0.889
Li 0.988 0.014 0.992
Li 0.990 0.006 0.501
Li 0.335 0.666 0.397
Cr 0.830 0.171 0.216
Cr 0.660 0.828 0.714
Cr 0.170 0.337 0.713
Fe 0.676 0.336 0.493
Fe 0.341 0.662 0.988
Sn 0.832 0.662 0.214
Sn 0.339 0.169 0.214
Sn 0.169 0.828 0.714
O 0.835 0.674 0.596
O 0.518 0.483 0.346
O 0.671 0.329 0.098
O 0.995 0.006 0.316
O 0.998 0.007 0.809
O 0.324 0.175 0.601
O 0.963 0.477 0.342
O 0.524 0.039 0.344
O 0.161 0.838 0.091
O 0.848 0.176 0.608
O 0.484 0.956 0.843
O 0.040 0.503 0.838
O 0.336 0.658 0.604
O 0.672 0.837 0.098
O 0.469 0.509 0.830
O 0.163 0.329 0.098
CELL_PARAMETERS angstrom
5.732 1.932 0.717
-3.176 -1.952 4.826
3.257 -8.963 -1.579


# 5
! VZn2O4 | the Materials Project | PBE+U | optimized geometry; values from VASP
! - DFT formation energy (eV per atom) = -2.0673
&SYSTEM
  ibrav = 0, nat = 28, ntyp = 3
/
ATOMIC_SPECIES
V 50.94 V.upf
Zn 65.41 Zn.upf
O 16.00 O.upf
ATOMIC_POSITIONS crystal
V 0.563 0.812 0.125
V 0.562 0.312 0.625
V 0.063 0.312 0.125
V 0.062 0.812 0.625
Zn 0.495 0.495 0.010
Zn 0.995 0.995 0.010
Zn 0.630 0.130 0.240
Zn 0.130 0.630 0.240
Zn 0.062 0.312 0.625
Zn 0.563 0.812 0.625
Zn 0.313 0.062 0.625
Zn 0.812 0.563 0.625
O 0.963 0.202 0.358
O 0.463 0.701 0.359
O 0.440 0.201 0.836
O 0.940 0.702 0.836
O 0.685 0.424 0.414
O 0.185 0.923 0.414
O 0.162 0.423 0.892
O 0.662 0.924 0.891
O 0.202 0.426 0.371
O 0.702 0.926 0.371
O 0.699 0.423 0.879
O 0.199 0.923 0.879
O 0.426 0.202 0.371
O 0.926 0.702 0.371
O 0.923 0.199 0.879
O 0.423 0.699 0.879
CELL_PARAMETERS angstrom
-2.039 5.651 -0.678
-7.755 -1.913 6.702
2.612 -1.687 5.185


# 6
! Fe3C9Se2O9 | the Materials Project | PBE+U | optimized geometry; values from VASP
! - DFT formation energy (eV per atom) = -0.5172
&SYSTEM
  ibrav = 0, nat = 46, ntyp = 4
/
ATOMIC_SPECIES
Fe 55.84 Fe.upf
C 12.01 C.upf
Se 78.96 Se.upf
O 16.00 O.upf
ATOMIC_POSITIONS crystal
Fe 0.075 0.732 0.340
Fe 0.216 0.804 0.158
Fe 0.925 0.268 0.660
Fe 0.372 0.095 0.255
Fe 0.784 0.196 0.842
Fe 0.628 0.905 0.745
C 0.205 0.383 0.680
C 0.593 0.274 0.883
C 0.795 0.617 0.320
C 0.295 0.227 0.178
C 0.601 0.803 0.622
C 0.915 0.184 0.534
C 0.223 0.913 0.052
C 0.085 0.816 0.466
C 0.399 0.197 0.378
C 0.995 0.629 0.117
C 0.777 0.087 0.948
C 0.705 0.773 0.822
C 0.143 0.567 0.371
C 0.646 0.181 0.231
C 0.354 0.819 0.769
C 0.407 0.726 0.117
C 0.005 0.371 0.883
C 0.857 0.433 0.629
Se 0.434 0.879 0.319
Se 0.010 0.927 0.248
Se 0.566 0.121 0.681
Se 0.990 0.073 0.752
O 0.222 0.976 0.978
O 0.579 0.740 0.540
O 0.904 0.127 0.451
O 0.752 0.688 0.870
O 0.820 0.540 0.606
O 0.146 0.484 0.915
O 0.778 0.024 0.022
O 0.421 0.260 0.460
O 0.471 0.324 0.912
O 0.616 0.543 0.309
O 0.384 0.457 0.691
O 0.854 0.516 0.085
O 0.248 0.312 0.130
O 0.180 0.460 0.394
O 0.822 0.242 0.219
O 0.529 0.676 0.088
O 0.178 0.758 0.781
O 0.096 0.873 0.549
CELL_PARAMETERS angstrom
6.838 0.000 0.000
-3.315 8.635 0.000
-1.016 -1.377 13.025


# 7
! NiH9C4N3O6 | the Materials Project | PBE+U | optimized geometry; values from VASP
! - DFT formation energy (eV per atom) = -0.8682
&SYSTEM
  ibrav = 0, nat = 92, ntyp = 5
/
ATOMIC_SPECIES
Ni 58.69 Ni.upf
H 1.01 H.upf
C 12.01 C.upf
N 14.01 N.upf
O 16.00 O.upf
ATOMIC_POSITIONS crystal
Ni 0.248 0.250 0.750
Ni 0.252 0.250 0.250
Ni 0.752 0.750 0.250
Ni 0.748 0.750 0.750
H 0.250 0.326 0.000
H 0.250 0.174 0.500
H 0.750 0.674 0.000
H 0.750 0.826 0.500
H 0.909 0.071 0.791
H 0.591 0.071 0.209
H 0.909 0.429 0.709
H 0.591 0.429 0.291
H 0.091 0.929 0.209
H 0.409 0.929 0.791
H 0.091 0.571 0.291
H 0.409 0.571 0.709
H 0.083 0.759 0.877
H 0.417 0.759 0.123
H 0.083 0.741 0.623
H 0.417 0.741 0.377
H 0.917 0.241 0.123
H 0.583 0.241 0.877
H 0.917 0.259 0.377
H 0.583 0.259 0.623
H 0.166 0.933 0.924
H 0.334 0.933 0.076
H 0.166 0.567 0.576
H 0.334 0.567 0.424
H 0.834 0.067 0.076
H 0.666 0.067 0.924
H 0.834 0.433 0.424
H 0.666 0.433 0.576
H 0.316 0.537 0.058
H 0.184 0.537 0.942
H 0.316 0.963 0.442
H 0.184 0.963 0.558
H 0.684 0.463 0.942
H 0.816 0.463 0.058
H 0.684 0.037 0.558
H 0.816 0.037 0.442
C 0.250 0.203 0.000
C 0.250 0.297 0.500
C 0.750 0.797 0.000
C 0.750 0.703 0.500
C 0.980 0.014 0.725
C 0.520 0.014 0.275
C 0.980 0.486 0.775
C 0.520 0.486 0.225
C 0.020 0.986 0.275
C 0.480 0.986 0.725
C 0.020 0.514 0.225
C 0.480 0.514 0.775
C 0.250 0.744 0.000
C 0.250 0.756 0.500
C 0.750 0.256 0.000
C 0.750 0.244 0.500
N 0.157 0.818 0.928
N 0.343 0.818 0.072
N 0.157 0.682 0.572
N 0.343 0.682 0.428
N 0.843 0.182 0.072
N 0.657 0.182 0.928
N 0.843 0.318 0.428
N 0.657 0.318 0.572
N 0.250 0.594 0.000
N 0.250 0.906 0.500
N 0.750 0.406 0.000
N 0.750 0.094 0.500
O 0.243 0.136 0.906
O 0.257 0.136 0.094
O 0.243 0.364 0.594
O 0.257 0.364 0.406
O 0.757 0.864 0.094
O 0.743 0.864 0.906
O 0.757 0.636 0.406
O 0.743 0.636 0.594
O 0.100 0.080 0.686
O 0.400 0.080 0.314
O 0.100 0.420 0.814
O 0.400 0.420 0.186
O 0.900 0.920 0.314
O 0.600 0.920 0.686
O 0.900 0.580 0.186
O 0.600 0.580 0.814
O 0.936 0.884 0.693
O 0.564 0.884 0.307
O 0.936 0.616 0.807
O 0.564 0.616 0.193
O 0.064 0.116 0.307
O 0.436 0.116 0.693
O 0.064 0.384 0.193
O 0.436 0.384 0.807
CELL_PARAMETERS angstrom
-8.479 0.000 0.000
0.000 0.000 -8.930
0.000 -11.860 0.000


# 8
! Li3CoOF3 | the Materials Project | PBE+U | optimized geometry; values from VASP
! - energy above the most stable polymorph in this dataset (meV/atom) = 0.0
! - DFT formation energy (eV per atom) = -2.6370
&SYSTEM
  ibrav = 0, nat = 32, ntyp = 4
/
ATOMIC_SPECIES
Li 6.94 Li.upf
Co 58.93 Co.upf
O 16.00 O.upf
F 19.00 F.upf
ATOMIC_POSITIONS crystal
Li 0.500 0.875 0.312
Li 0.500 0.375 0.062
Li 0.500 0.875 0.813
Li 0.500 0.375 0.562
Li 0.000 0.997 0.499
Li 0.000 0.497 0.249
Li 0.000 0.997 0.004
Li 0.000 0.497 0.754
Li 0.000 0.753 0.626
Li 0.000 0.253 0.371
Li 0.000 0.753 0.121
Li 0.000 0.253 0.876
Co 0.500 0.125 0.187
Co 0.500 0.625 0.938
Co 0.500 0.625 0.437
Co 0.500 0.125 0.688
O 0.999 0.625 0.688
O 0.001 0.125 0.437
O 0.001 0.625 0.187
O 0.999 0.125 0.938
F 0.000 0.875 0.063
F 0.000 0.375 0.811
F 0.000 0.875 0.563
F 0.000 0.375 0.314
F 0.500 0.993 0.254
F 0.500 0.493 0.004
F 0.500 0.994 0.753
F 0.500 0.494 0.503
F 0.500 0.756 0.372
F 0.500 0.257 0.121
F 0.500 0.757 0.871
F 0.500 0.256 0.622
CELL_PARAMETERS angstrom
-0.342 2.658 -1.146
-14.291 2.237 9.463
2.347 2.354 4.775


Among the records above, which one has the highest DFT formation energy? Fe3C9Se2O9


Repeat the fourth record exactly.
! Li4Cr3Fe2Sn3O16 | the Materials Project | PBE+U | optimized geometry; values from VASP
! - DFT formation energy (eV per atom) = -2.1066
&SYSTEM
  ibrav = 0, nat = 28, ntyp = 5
/
ATOMIC_SPECIES
Li 6.94 Li.upf
Cr 52.00 Cr.upf
Fe 55.84 Fe.upf
Sn 118.71 Sn.upf
O 16.00 O.upf
ATOMIC_POSITIONS crystal
Li 0.668 0.325 0.889
Li 0.988 0.014 0.992
Li 0.990 0.006 0.501
Li 0.335 0.666 0.397
Cr 0.830 0.171 0.216
Cr 0.660 0.828 0.714
Cr 0.170 0.337 0.713
Fe 0.676 0.336 0.493
Fe 0.341 0.662 0.988
Sn 0.832 0.662 0.214
Sn 0.339 0.169 0.214
Sn 0.169 0.828 0.714
O 0.835 0.674 0.596
O 0.518 0.483 0.346
O 0.671 0.329 0.098
O 0.995 0.006 0.316
O 0.998 0.007 0.809
O 0.324 0.175 0.601
O 0.963 0.477 0.342
O 0.524 0.039 0.344
O 0.161 0.838 0.091
O 0.848 0.176 0.608
O 0.484 0.956 0.843
O 0.040 0.503 0.838
O 0.336 0.658 0.604
O 0.672 0.837 0.098
O 0.469 0.509 0.830
O 0.163 0.329 0.098
CELL_PARAMETERS angstrom
5.732 1.932 0.717
-3.176 -1.952 4.826
3.257 -8.963 -1.579


What is the DFT formation energy in the third record? -2.2643 eV per atom